Record 1
Computed, not measured: crystalline Ti7Fe9O24 at its relaxed geometry at the PBE with a Hubbard U level of DFT.

Calculated values
crystal system: triclinic
DFT total energy: -7.5057 eV/atom
energy of formation: -2169.3 meV per atom

Cell and atoms, written as extended XYZ:
```
40
Lattice="-0.8033 -4.0945 -3.7248 -5.0764 -5.1368 5.5506 -8.9018 1.6624 -1.1444" Properties=species:S:1:pos:R:3 pbc="T T T"
Ti -8.7251 -4.8793 3.8963
Ti -10.5850 -1.5307 0.4997
Ti -8.2159 -3.2168 1.4540
Ti -6.5335 -4.4064 -0.7609
Ti -4.1515 -6.1079 0.1262
Ti -6.1656 -2.6182 -3.1604
Ti -1.2594 -1.4289 -0.8014
Fe -11.8146 -4.1233 2.4862
Fe -13.5371 -6.1450 1.4062
Fe -7.6698 -6.9278 1.2802
Fe -10.0223 -5.2656 0.3372
Fe -5.1545 -4.0595 2.7889
Fe -7.1137 -0.6190 -0.5630
Fe -4.7380 -2.3024 0.3331
Fe -9.5790 -3.5312 -2.1148
Fe -3.0587 -3.5595 -1.8697
O -10.5732 -4.5117 4.0514
O -11.4143 -5.9414 1.7500
O -6.5826 -4.8400 4.1038
O -8.3050 -2.8721 3.3174
O -6.5421 -7.4889 2.9199
O -12.5115 -2.3995 3.2152
O -8.5630 -5.1554 2.0467
O -10.4240 -3.3025 1.2923
O -8.5339 -1.5086 0.7600
O -4.2195 -5.7683 2.0399
O -11.2377 -4.6565 -1.3015
O -6.3839 -3.4643 1.1396
O -3.5102 -2.8577 1.9605
O -8.3583 -4.0979 -0.4505
O -10.4843 -1.7913 -1.3230
O -6.2686 -6.1404 -0.0560
O -4.4300 -4.3604 -0.5513
O -6.1921 -2.3764 -1.3312
O -1.3556 -1.2129 1.0635
O -8.2465 0.0254 -2.1763
O -6.4700 -4.6456 -2.6265
O -3.3867 -1.4786 -0.9693
O -8.1709 -2.7518 -3.3550
O -4.3385 -2.9652 -3.5032
```

=====

Record 2
Computed, not measured: crystalline Mn13Fe11O32 at its relaxed geometry at the PBE with a Hubbard U level of DFT.

Calculated values
crystal system: triclinic
DFT total energy: -7.0445 eV/atom
energy of formation: -1649.3 meV per atom

Cell and atoms, written as extended XYZ:
```
56
Lattice="-6.0680 0.0000 0.0000 3.0174 5.3764 0.0000 -0.0876 -2.8233 -20.1581" Properties=species:S:1:pos:R:3 pbc="T T T"
Mn 2.1378 4.0803 -5.6702
Mn -3.8136 0.6044 -5.0364
Mn 0.3523 0.9839 -7.5638
Mn 1.5761 3.2364 -9.4686
Mn -0.6914 2.5538 -4.4199
Mn -4.7144 -0.6833 -10.6895
Mn 0.6753 1.9487 -15.1217
Mn -3.4906 1.5692 -12.5943
Mn -5.2760 -1.5272 -14.4879
Mn -0.1170 3.4779 -0.6251
Mn -2.4468 -0.0007 -15.7382
Mn 0.0000 0.0000 0.0000
Mn -3.0212 -0.9249 -19.5330
Fe -1.1778 3.6468 -7.5705
Fe -2.6970 0.9768 -7.5590
Fe -1.9604 -1.0938 -12.5876
Fe -0.4412 1.5763 -12.5991
Fe -1.5691 1.2765 -10.0790
Fe 1.8129 2.2232 -17.6300
Fe 0.3093 -0.4647 -17.6353
Fe -1.2312 2.2253 -17.6372
Fe -1.9071 0.3277 -2.5209
Fe -3.4475 3.0177 -2.5228
Fe -4.9511 0.3298 -2.5281
O -1.3056 0.0077 -8.7450
O -0.0553 2.4830 -8.8367
O -5.3029 -0.5213 -6.2666
O -4.0694 1.9712 -6.4420
O -2.6320 -0.4126 -6.3785
O -0.3880 0.1898 -11.4235
O -4.4253 -0.1921 -8.6054
O -2.7503 2.3632 -8.7346
O 1.2870 2.7451 -11.5527
O -0.9610 2.1201 -6.5134
O 0.9311 0.5819 -13.7161
O 2.1647 3.0744 -13.8915
O -3.0829 0.0700 -11.3214
O -1.8327 2.5454 -11.4131
O 0.1189 1.0247 -18.7010
O -2.1772 0.4330 -13.6447
O -4.2289 0.8546 -16.4271
O -5.5917 -1.9435 -16.5692
O -0.5062 2.9656 -13.7796
O -1.2285 -1.7771 -18.8540
O -2.9106 1.1810 -18.7348
O -4.6059 -1.7755 -18.8573
O -0.8537 0.8516 -16.3971
O -2.5602 -2.1071 -16.5340
O -0.2276 1.3721 -1.4233
O 1.4677 4.3285 -1.3008
O -1.9097 4.3302 -1.3041
O 2.4534 4.4966 -3.5889
O 1.0906 1.6985 -3.7310
O -3.2572 1.5284 -1.4571
O -0.5781 4.6602 -3.6241
O -2.2845 1.7015 -3.7610
```

=====

Record 3
Computed, not measured: crystalline Li6Ca12Mo4N16O3 at its relaxed geometry at the PBE with a Hubbard U level of DFT.

Calculated values
crystal system: cubic
DFT total energy: -6.2792 eV/atom
energy of formation: -1102.1 meV per atom

Cell and atoms, written as extended XYZ:
```
82
Lattice="0.1165 -9.9710 -5.4643 4.9820 -1.1832 10.1525 -10.7517 3.4136 1.4288" Properties=species:S:1:pos:R:3 pbc="T T T"
Li 1.1293 -2.7324 1.4637
Li -2.9073 -1.1719 9.5664
Li -1.8197 -6.8240 4.1289
Li -4.1406 -3.5936 6.0719
Li -9.1510 -4.1953 -0.0297
Li 1.0367 -9.7241 2.3892
Li -3.8976 -6.1234 -1.1373
Li -5.6720 -0.2433 4.6637
Li -2.5304 -1.9202 -0.8908
Li -1.7102 0.3925 2.7937
Li 1.3746 -4.8544 5.3410
Li -5.6306 -5.4535 2.3413
Ca 0.5131 -5.8592 2.5128
Ca -4.3164 -7.9598 1.3533
Ca 0.0116 -2.5713 7.3871
Ca -9.4740 -5.9371 -2.4477
Ca -5.0168 0.8441 10.2527
Ca 3.4013 -10.0913 4.1944
Ca 3.1261 -1.6541 6.7260
Ca -4.6609 -0.1842 0.3060
Ca -5.5513 -1.2023 7.5011
Ca -1.2476 -3.7646 4.3812
Ca -2.6786 -5.0798 1.3944
Ca -7.1368 1.9218 1.7664
Ca 0.4806 -0.5305 4.6194
Ca -6.7644 -6.5301 -0.3618
Ca -0.7474 -6.7829 -3.3438
Ca 0.2915 -4.6099 -0.7176
Ca 0.9598 -7.8168 5.1484
Ca -1.1155 -5.9162 6.8975
Ca -1.1133 -7.7398 -0.1929
Ca -7.4276 -1.3678 2.0350
Ca -5.2972 -3.5841 0.0219
Ca -2.8006 -0.9422 5.6724
Ca -6.9366 -3.0596 5.1326
Ca -4.3367 -2.4695 3.1652
Mo -1.5592 -2.1349 1.6871
Mo 2.5754 -7.8126 1.1190
Mo -7.7281 -2.5134 -1.6974
Mo -1.7679 0.8499 8.0668
Mo -2.3522 -4.2202 -2.4118
Mo -4.2589 1.4415 2.9906
Mo 2.5171 -2.8271 3.8512
Mo -4.3857 -6.0052 4.7456
N -0.6260 -0.8571 0.6774
N 2.5946 -9.4585 0.2170
N -9.5028 -1.9499 -1.4615
N -0.9455 0.6546 9.7427
N -4.1270 -3.6567 -2.1760
N -3.4365 1.2462 4.6664
N 2.5364 -4.4730 2.9492
N -3.4526 -4.7274 3.7359
N -0.6464 -3.8042 1.7767
N -6.5671 0.9847 6.1098
N 1.2077 -2.7662 5.2329
N -8.6151 2.0501 4.1220
N 3.8857 -3.9990 8.0201
N -2.8848 -8.4768 -3.9032
N -5.5553 -7.0661 3.6807
N -6.5065 -1.5660 -0.5847
N -3.5217 0.1083 8.0225
N -2.1341 -3.4553 6.6677
N -1.8322 -7.2970 2.0854
N -3.2238 -7.2244 5.6350
N -0.7939 -0.0045 6.6708
N -7.4885 -4.3602 -1.2981
N -5.4680 -5.2176 6.1006
N 1.3548 -6.5706 0.3475
N 2.0717 -7.9871 2.9475
N -5.1633 -6.9270 -2.6044
N -1.8635 -5.6170 -1.2128
N -5.4560 0.0145 2.5932
N -3.2854 -2.5103 0.9752
N -1.8357 -1.5827 3.4888
N 2.9582 -6.0692 5.9867
N -6.4744 -3.5438 2.5444
O 1.6859 -1.4283 8.5576
O -0.2225 -5.8392 4.7350
O 0.0035 -8.5937 -2.0645
O -8.7558 0.3462 1.1532
O -4.7641 -5.7885 0.6020
O -4.9063 -1.9184 5.3678
```

=====

Record 4
Computed, not measured: crystalline Ba3NaMn4Si6O23 at its relaxed geometry at the PBE with a Hubbard U level of DFT.

Calculated values
crystal system: orthorhombic
DFT total energy: -7.2287 eV/atom
energy of formation: -2698.7 meV per atom

Cell and atoms, written as extended XYZ:
```
148
Lattice="-6.5226 1.0643 -2.6377 -4.9204 -1.3430 11.6253 2.2676 22.8046 3.5943" Properties=species:S:1:pos:R:3 pbc="T T T"
Ba -7.0377 18.6006 5.9535
Ba -2.1377 3.9253 6.6283
Ba -4.1010 15.8330 7.1730
Ba -4.4927 3.2825 12.1925
Ba -5.0744 6.6930 5.4088
Ba -4.6826 19.2434 0.3893
Ba -2.7193 7.3358 -0.1554
Ba -6.4560 15.1902 12.7371
Ba -8.9359 11.4784 7.9411
Ba -0.2394 11.0476 4.6407
Ba -2.0890 22.9367 5.2313
Ba -7.0864 -0.4108 7.3504
Na -2.3277 19.8331 11.7032
Na -6.8477 2.6928 0.8785
Na -3.8493 13.7909 3.4297
Na -5.3261 8.7351 9.1521
Mn -9.3324 14.8977 10.0585
Mn 0.1570 7.6282 2.5233
Mn -1.8574 19.5443 3.0473
Mn -1.1847 7.2620 5.6934
Mn -7.3180 2.9817 9.5345
Mn -7.9907 15.2639 6.8884
Mn -5.9762 3.3479 6.3644
Mn -3.1992 19.1780 6.2174
Mn -5.6648 18.7296 11.8436
Mn -3.5106 3.7963 0.7382
Mn 0.8005 14.6802 3.8202
Mn -4.7033 3.4707 3.5563
Mn -9.9759 7.8458 8.7616
Mn -4.4721 19.0552 9.0255
Mn -8.7832 8.1713 5.9435
Mn -0.3922 14.3546 6.6383
Si -7.0366 17.1921 9.4051
Si -2.1388 5.3338 3.1767
Si -1.3684 16.7954 4.8269
Si -7.8070 5.7305 7.7549
Si -5.4321 21.5584 6.7494
Si -3.7433 0.9675 5.8324
Si -3.2786 12.4790 7.3589
Si -5.9384 0.3684 11.0186
Si -5.8968 10.0469 5.2229
Si -3.2370 22.1575 1.5632
Si -3.7017 10.6460 0.0366
Si -5.4737 11.8799 12.5452
Si -8.4946 12.2926 11.5948
Si -0.6808 10.2333 0.9870
Si 0.4710 21.6327 2.7914
Si -3.0750 9.5798 6.6437
Si -9.6464 0.8933 9.7904
Si -6.1004 12.9461 5.9381
Si -7.2522 1.5468 4.1336
Si -1.9232 20.9792 8.4481
Si -3.1165 16.5292 10.9877
Si -6.0589 5.9967 1.5941
Si -3.9663 17.2426 3.7790
Si -5.2091 5.2834 8.8028
O -6.8283 17.2598 11.0184
O -2.3471 5.2661 1.5633
O -0.1489 16.4947 3.7909
O -3.4242 4.9721 4.1082
O -9.0265 6.0312 8.7909
O -5.7512 17.5538 8.4736
O -7.9494 6.3252 6.2460
O -1.2260 16.2008 6.3358
O -7.0479 8.7492 11.8020
O -2.1275 13.7768 0.7798
O -6.2223 2.8576 -2.2148
O -4.5247 13.1224 6.4437
O -2.9531 19.6683 14.7966
O -4.6507 9.4035 6.1381
O -0.5558 20.3227 9.1327
O -8.6196 2.2033 3.4491
O -4.0492 17.8573 10.7464
O -5.1262 4.6686 1.8354
O -5.1292 16.2564 3.1728
O -4.0462 6.2695 9.4089
O -4.4160 18.0042 5.1755
O -4.7593 4.5218 7.4063
O -2.6823 15.7702 9.5849
O -5.8233 4.2314 9.9202
O -6.4931 6.7558 2.9969
O -3.3520 18.2946 2.6616
O -5.4291 7.0462 0.4830
O -3.7463 15.4798 12.0988
O -6.5536 15.9873 5.8333
O -2.6218 6.5387 6.7485
O -3.1367 18.2100 7.8789
O -4.9604 5.9003 12.2738
O -6.0387 4.3159 4.7029
O -4.2150 16.6256 0.3080
O -3.7001 4.9543 -0.8225
O -5.4753 17.5717 13.4042
O -4.5576 20.1510 12.7882
O -4.6178 2.3749 -0.2064
O -4.7164 13.9784 1.0924
O -6.0319 1.9890 3.1345
O -4.4590 8.5476 11.4894
O -3.1435 20.5370 9.4473
O -3.0449 8.9335 8.1485
O -6.1305 13.5924 4.4333
O -3.8105 -0.8026 8.6917
O -5.3649 23.3285 3.8901
O -3.5140 11.4392 3.2999
O -5.6614 11.0867 9.2818
O -7.2812 22.1600 12.7649
O -1.8942 0.3659 -0.1831
O -0.6139 11.7443 1.6733
O -3.9452 -0.1939 4.6629
O -8.5615 10.7816 10.9085
O -5.2301 22.7198 7.9189
O -6.5105 11.3414 6.0625
O -2.6649 11.1845 6.5193
O -7.3611 19.4055 12.8647
O -1.8143 3.1204 -0.2829
O 0.1549 14.3864 1.8521
O -4.1861 2.4730 5.3209
O -9.3303 8.1395 10.7297
O -4.9892 20.0529 7.2609
O -6.9585 8.7869 5.1259
O -2.2169 13.7390 7.4559
O -5.7375 19.7966 10.2558
O -3.4379 2.7294 2.3260
O -0.6205 13.8570 4.8039
O -8.5549 8.6690 7.7778
O -8.2605 18.2903 9.0140
O -0.9149 4.2356 3.5678
O -2.7681 16.1253 4.1570
O -6.4073 6.4006 8.4248
O -8.5051 13.2322 10.2495
O -0.6703 9.2937 2.3323
O -0.7080 20.8872 3.6557
O -2.0356 8.9211 5.5581
O -8.4674 1.6387 8.9261
O -7.1398 13.6049 7.0236
O -7.1020 2.0114 5.7003
O -2.0734 20.5146 6.8815
O -7.6532 15.7020 8.9720
O -1.5222 6.8240 3.6098
O -1.6737 18.4360 4.8872
O -7.5017 4.0899 7.6946
O -4.5487 21.8846 5.4660
O -4.6267 0.6413 7.1158
O -3.6392 12.0675 8.8538
O -5.6186 0.3706 9.4593
O -5.5362 10.4585 3.7280
O -3.5568 22.1554 3.1225
O -4.5444 10.7292 1.3845
O -4.6310 11.7968 11.1972
```

=====

Record 5
Computed, not measured: crystalline Li4V3P8O29 at its relaxed geometry at the PBE with a Hubbard U level of DFT.

Calculated values
crystal system: triclinic
DFT total energy: -7.0349 eV/atom
energy of formation: -2565.3 meV per atom

Cell and atoms, written as extended XYZ:
```
88
Lattice="4.7257 7.3514 4.4348 7.7161 -1.8826 5.7626 8.5081 1.2313 -11.0082" Properties=species:S:1:pos:R:3 pbc="T T T"
Li 15.4127 4.6591 2.5066
Li 11.5152 6.7260 -0.2709
Li 6.6290 5.1298 4.5756
Li 9.0284 0.7525 5.9789
Li 12.2145 1.5911 -0.3134
Li 14.3112 1.5443 -5.4658
Li 5.5352 2.0484 -3.2799
Li 10.2116 1.3971 -8.6098
V 8.1653 3.6661 2.1780
V 12.7867 3.0515 -3.0648
V 9.1361 5.1148 -5.7663
V 11.8967 1.6546 4.9735
V 11.2554 6.5712 4.9812
V 14.4653 7.4378 -1.2972
P 17.4468 6.3156 -0.7874
P 13.6114 4.3701 4.9199
P 9.6803 6.5273 2.1336
P 9.3542 3.8195 5.3660
P 13.6515 4.4085 -0.1073
P 13.2680 6.0947 -4.0385
P 10.6148 5.4156 -2.8888
P 15.6998 1.6605 -2.5935
P 5.2330 5.0921 1.8275
P 10.3724 1.3015 2.0793
P 7.7083 0.6136 3.1937
P 7.2995 2.2420 -0.7091
P 11.5652 2.8653 -6.2106
P 11.2816 0.1446 -2.9077
P 7.3854 2.3515 -5.7102
P 3.5474 0.4054 -0.0088
O 15.4419 6.5718 2.5384
O 12.8960 5.7338 4.6939
O 4.2080 5.7185 2.6513
O 17.6820 4.7794 -0.6303
O 16.0665 6.4907 -1.4854
O 10.4478 4.9586 5.5158
O 10.7295 6.1554 3.2036
O 7.1695 6.9758 5.0702
O 14.0618 7.1381 -3.1810
O 15.1701 4.2099 0.3133
O 12.6220 3.2474 4.4124
O 13.5205 5.8428 -0.7827
O 8.4247 3.7013 6.5134
O 12.7338 4.3286 1.0685
O 8.5580 4.1714 4.0373
O 16.2291 2.8374 -1.7328
O 10.1265 2.4565 5.1293
O 9.0244 5.2440 1.5674
O 11.7363 6.3418 -3.6145
O 10.3270 5.9242 -1.5273
O 13.4813 6.3004 -5.4913
O 13.6152 4.6661 -3.5421
O 13.3034 3.3242 -1.1847
O 6.4963 4.5727 2.6121
O 9.7765 2.7501 2.1430
O 11.5562 1.1751 3.0760
O 5.9343 6.1041 0.7515
O 14.9470 4.2630 4.3110
O 5.9807 2.4766 -5.1849
O 9.3986 5.5280 -3.8717
O 11.1482 3.9693 -2.9422
O 14.5047 2.0925 -3.4599
O 7.6319 3.2899 0.4569
O 7.3501 2.0569 2.7557
O 7.5862 0.4394 4.6745
O 10.7272 0.9090 0.7013
O 9.2330 0.3545 2.7333
O 11.9321 1.4260 -2.3181
O 10.7276 4.2006 -5.9035
O 4.7281 3.9039 0.9391
O 12.3851 2.5252 -4.9270
O 12.4233 2.9930 -7.4237
O 8.2078 2.3759 -1.8688
O 7.3467 0.8378 0.0042
O 8.3094 3.4765 -5.2081
O 5.7917 2.4828 -1.1328
O 6.8778 -0.4008 2.3788
O 12.5020 -0.5585 -3.6954
O 13.8141 -0.2558 -5.8456
O 10.2580 0.5542 -4.0185
O 10.4656 1.7559 -6.4363
O 4.9020 0.2070 0.6955
O 3.1911 1.9121 -0.1382
O 9.0836 2.9243 -9.1767
O 7.3790 2.4564 -7.3270
O 7.9716 0.9530 -5.4157
O 5.5229 0.0767 -3.3512
O 3.7401 -0.0765 -1.5421
```

=====

For the records above, the corresponding magnetization values read 1.4 115.1 0.0 68.0 2.0 μB/cell.
For the records above, the corresponding energy with MP2020 corrections values read -337.0 -463.0 -544.6 -1159.7 -669.1 eV for the cell shown.